First-principles (PBE-GGA) data for a relaxed structure of RbB6S2Cl6O4, as listed in Materials Project.

Calculated values
Energy in eV/cell: -791.34
Energy with MP2020 corrections in eV per atom: -5.351
V in Å³ per atom: 22.16

Lattice parameters (Å, degrees): 22.1890 9.5860 15.8343 90.00 90.00 90.00
Space group Pna2_1 (No. 33)
Inequivalent atoms, fractional coordinates:
Rb 0.0676 0.2209 0.0000 (multiplicity 4)
Rb 0.1877 0.7321 0.2554 (multiplicity 4)
B 0.1189 0.7893 0.9047 (multiplicity 4)
B 0.1328 0.6139 0.8713 (multiplicity 4)
B 0.1446 0.7552 0.7993 (multiplicity 4)
B 0.1559 0.6691 0.9741 (multiplicity 4)
B 0.1754 0.8983 0.8575 (multiplicity 4)
B 0.1820 0.8454 0.9659 (multiplicity 4)
B 0.1973 0.6139 0.8034 (multiplicity 4)
B 0.2045 0.5609 0.9118 (multiplicity 4)
B 0.2240 0.7904 0.7951 (multiplicity 4)
B 0.2352 0.7044 0.9706 (multiplicity 4)
B 0.2393 0.1701 0.3649 (multiplicity 4)
B 0.2470 0.8457 0.8987 (multiplicity 4)
S 0.0027 0.8894 0.2445 (multiplicity 4)
S 0.0588 0.4165 0.5557 (multiplicity 4)
S 0.0617 0.3697 0.2651 (multiplicity 4)
S 0.1183 0.8747 0.5007 (multiplicity 4)
Cl 0.0438 0.8512 0.9260 (multiplicity 4)
Cl 0.0722 0.4921 0.8555 (multiplicity 4)
Cl 0.0954 0.7803 0.7107 (multiplicity 4)
Cl 0.1197 0.6025 0.0672 (multiplicity 4)
Cl 0.1605 0.0760 0.8275 (multiplicity 4)
Cl 0.1644 0.1071 0.3431 (multiplicity 4)
Cl 0.1745 0.9665 0.0520 (multiplicity 4)
Cl 0.1932 0.4691 0.4144 (multiplicity 4)
Cl 0.2037 0.4920 0.7179 (multiplicity 4)
Cl 0.2170 0.1794 0.5610 (multiplicity 4)
Cl 0.2194 0.3830 0.9410 (multiplicity 4)
Cl 0.2398 0.3556 0.2019 (multiplicity 4)
O 0.0039 0.1804 0.8253 (multiplicity 4)
O 0.0354 0.5552 0.5390 (multiplicity 4)
O 0.0418 0.3506 0.6345 (multiplicity 4)
O 0.0575 0.9218 0.5198 (multiplicity 4)
O 0.0637 0.2929 0.1860 (multiplicity 4)
O 0.0636 0.9014 0.2114 (multiplicity 4)
O 0.0800 0.5149 0.2628 (multiplicity 4)
O 0.1244 0.7753 0.4320 (multiplicity 4)